DFT (PBE) results for PrFeCu after structural relaxation.

- calculated formation energy (meV per atom) = 58.1
- volume (Å³ per atom) = 17.6

a = 5.2778 Å, b = 5.2780 Å, c = 8.7743 Å
α = 90.00°, β = 90.00°, γ = 59.79°
Last column: nearest neighbours and their distance in Å.
Sites, in units of the cell vectors:
Pr 0.6670 0.6670 0.0624  5 Cu 3.07-3.15, 7 Fe 3.10-3.16, 4 Pr 3.22-3.29
Pr 0.6670 0.6670 0.4376  5 Cu 3.07-3.15, 7 Fe 3.10-3.16, 4 Pr 3.22-3.29
Pr 0.3328 0.3328 0.9392  7 Cu 3.09-3.13, 5 Fe 3.11-3.14, 4 Pr 3.22-3.32
Pr 0.3328 0.3328 0.5608  7 Cu 3.09-3.13, 5 Fe 3.11-3.14, 4 Pr 3.22-3.32
Cu 0.3275 0.8373 0.7500  4 Cu 2.58-2.69, 2 Fe 2.58-2.70
Cu 0.9982 0.9982 0.4959  4 Fe 2.62-2.67, 2 Cu 2.69
Cu 0.8373 0.3275 0.7500  4 Cu 2.58-2.69, 2 Fe 2.58-2.70
Cu 0.9982 0.9982 0.0041  4 Fe 2.62-2.67, 2 Cu 2.69
Fe 0.1641 0.1641 0.2500  4 Fe 2.59-2.69, 2 Cu 2.64
Fe 0.8381 0.8381 0.7500  6 Cu 2.58-2.70
Fe 0.1641 0.6729 0.2500  4 Fe 2.58-2.69, 2 Cu 2.62
Fe 0.6729 0.1641 0.2500  4 Fe 2.58-2.69, 2 Cu 2.62